1.
PBE-GGA Er12Mn5C15, optimized geometry; formation energy from the elements = -0.374 eV per atom
1.0
10.377 0.000 0.000
-5.189 8.987 0.000
0.000 0.000 4.976
Er Mn C
12 5 15
Direct
0.000 0.428 0.000 Er
0.000 0.793 0.000 Er
0.185 0.730 0.500 Er
0.207 0.207 0.000 Er
0.270 0.455 0.500 Er
0.428 0.000 0.000 Er
0.455 0.270 0.500 Er
0.545 0.815 0.500 Er
0.572 0.572 0.000 Er
0.730 0.185 0.500 Er
0.793 0.000 0.000 Er
0.815 0.545 0.500 Er
0.000 0.153 0.500 Mn
0.153 0.000 0.500 Mn
0.333 0.667 0.000 Mn
0.667 0.333 0.000 Mn
0.847 0.847 0.500 Mn
0.000 0.325 0.500 C
0.000 0.455 0.500 C
0.000 0.797 0.500 C
0.191 0.716 0.000 C
0.203 0.203 0.500 C
0.284 0.476 0.000 C
0.325 0.000 0.500 C
0.455 0.000 0.500 C
0.476 0.284 0.000 C
0.524 0.809 0.000 C
0.545 0.545 0.500 C
0.675 0.675 0.500 C
0.716 0.191 0.000 C
0.797 0.000 0.500 C
0.809 0.524 0.000 C


2.
PBE-GGA NaZn2Ge2PS5O24, optimized geometry; formation energy from the elements = -1.926 eV per atom
1.0
8.526 0.000 0.000
4.248 7.394 0.000
0.158 0.039 22.017
Na Zn Ge P S O
3 6 6 3 15 72
Direct
0.000 0.000 0.000 Na
0.001 0.990 0.504 Na
0.663 0.660 0.169 Na
0.001 0.001 0.142 Zn
0.001 0.993 0.652 Zn
0.328 0.333 0.478 Zn
0.667 0.659 0.810 Zn
0.672 0.659 0.316 Zn
0.999 0.993 0.843 Zn
0.001 0.987 0.353 Ge
0.335 0.327 0.685 Ge
0.339 0.320 0.980 Ge
0.344 0.319 0.185 Ge
0.658 0.662 0.019 Ge
0.674 0.663 0.518 Ge
0.342 0.037 0.081 P
0.616 0.332 0.081 P
0.957 0.664 0.415 P
0.009 0.689 0.747 S
0.010 0.281 0.248 S
0.037 0.333 0.582 S
0.045 0.608 0.082 S
0.289 0.696 0.247 S
0.297 0.001 0.747 S
0.344 0.618 0.581 S
0.373 0.655 0.919 S
0.373 0.948 0.415 S
0.622 0.032 0.581 S
0.664 0.952 0.919 S
0.675 0.364 0.415 S
0.697 0.289 0.747 S
0.707 0.000 0.247 S
0.963 0.372 0.920 S
0.008 0.178 0.590 O
0.025 0.787 0.086 O
0.042 0.166 0.305 O
0.047 0.763 0.802 O
0.118 0.367 0.637 O
0.124 0.493 0.137 O
0.141 0.509 0.425 O
0.142 0.365 0.929 O
0.148 0.300 0.528 O
0.158 0.526 0.026 O
0.175 0.777 0.304 O
0.180 0.010 0.086 O
0.180 0.507 0.739 O
0.181 0.293 0.242 O
0.184 0.039 0.803 O
0.185 0.965 0.410 O
0.189 0.800 0.589 O
0.192 0.812 0.915 O
0.208 0.807 0.193 O
0.217 0.971 0.693 O
0.297 0.515 0.242 O
0.306 0.159 0.025 O
0.308 0.173 0.739 O
0.314 0.537 0.527 O
0.353 0.124 0.425 O
0.362 0.486 0.928 O
0.378 0.502 0.637 O
0.379 0.120 0.139 O
0.450 0.825 0.471 O
0.453 0.692 0.976 O
0.472 0.668 0.255 O
0.472 0.869 0.359 O
0.479 0.848 0.755 O
0.489 0.622 0.866 O
0.494 0.133 0.927 O
0.494 0.374 0.139 O
0.507 0.114 0.637 O
0.514 0.300 0.739 O
0.517 0.627 0.574 O
0.521 0.850 0.075 O
0.526 0.174 0.243 O
0.526 0.306 0.024 O
0.527 0.332 0.425 O
0.542 0.142 0.527 O
0.628 0.851 0.576 O
0.631 0.508 0.075 O
0.635 0.870 0.866 O
0.646 0.469 0.360 O
0.668 0.471 0.755 O
0.675 0.847 0.254 O
0.698 0.836 0.976 O
0.715 0.445 0.471 O
0.770 0.176 0.803 O
0.788 0.032 0.304 O
0.800 0.165 0.085 O
0.805 0.003 0.588 O
0.807 0.209 0.693 O
0.818 0.971 0.193 O
0.822 0.978 0.915 O
0.827 0.711 0.473 O
0.844 0.455 0.977 O
0.851 0.182 0.409 O
0.854 0.463 0.255 O
0.855 0.504 0.576 O
0.856 0.660 0.755 O
0.865 0.620 0.076 O
0.875 0.640 0.358 O
0.882 0.484 0.867 O
0.968 0.847 0.409 O
0.980 0.799 0.693 O
0.981 0.201 0.194 O
0.988 0.190 0.917 O